! Mo2C4NO7 (PBE+U, relaxed); values from VASP
! calculated volume	248	Å³/f.u.
! SG	P-1
! calculated total energy	-94.522	eV per formula unit
! relative energy among the computed polymorphs	0.476	eV per atom
! energy of formation	-0.30	eV per atom
&SYSTEM
  ibrav = 0, nat = 56, ntyp = 4
/
ATOMIC_SPECIES
Mo 95.94 Mo.upf
C 12.01 C.upf
N 14.01 N.upf
O 16.00 O.upf
CELL_PARAMETERS angstrom
9.0842 0.0000 0.0000
3.9158 9.7589 0.0000
1.4887 2.3206 11.1797
ATOMIC_POSITIONS crystal
Mo 0.0613 0.3046 0.2426
Mo 0.1415 0.2012 0.9671
Mo 0.1902 0.5205 0.0258
Mo 0.2532 0.4170 0.7626
Mo 0.7468 0.5830 0.2374
Mo 0.8098 0.4795 0.9742
Mo 0.8585 0.7988 0.0329
Mo 0.9387 0.6954 0.7574
C 0.0799 0.8500 0.3384
C 0.2470 0.6268 0.3924
C 0.2504 0.7934 0.3279
C 0.3536 0.8029 0.0032
C 0.3812 0.6655 0.3498
C 0.4161 0.8498 0.7827
C 0.4200 0.8345 0.6660
C 0.4855 0.1026 0.3056
C 0.5145 0.8974 0.6944
C 0.5800 0.1655 0.3340
C 0.5839 0.1502 0.2173
C 0.6188 0.3345 0.6502
C 0.6464 0.1971 0.9968
C 0.7496 0.2066 0.6721
C 0.7530 0.3732 0.6076
C 0.9201 0.1500 0.6616
N 0.1258 0.7386 0.4343
N 0.3696 0.8302 0.8964
N 0.6304 0.1698 0.1036
N 0.8742 0.2614 0.5657
O 0.0521 0.7031 0.9394
O 0.0588 0.1571 0.8631
O 0.0611 0.4524 0.8798
O 0.1072 0.1281 0.2941
O 0.1405 0.3600 0.3414
O 0.1653 0.6155 0.7146
O 0.1811 0.3735 0.6535
O 0.2074 0.3273 0.1005
O 0.2335 0.0469 0.0635
O 0.2641 0.5665 0.1323
O 0.3019 0.2152 0.5106
O 0.3191 0.2418 0.8709
O 0.3418 0.4845 0.9122
O 0.4773 0.3894 0.6841
O 0.5227 0.6106 0.3159
O 0.6582 0.5155 0.0878
O 0.6809 0.7582 0.1291
O 0.6981 0.7848 0.4894
O 0.7359 0.4335 0.8677
O 0.7665 0.9531 0.9365
O 0.7926 0.6727 0.8995
O 0.8189 0.6265 0.3465
O 0.8347 0.3845 0.2854
O 0.8595 0.6400 0.6586
O 0.8928 0.8719 0.7059
O 0.9389 0.5476 0.1202
O 0.9412 0.8429 0.1369
O 0.9479 0.2969 0.0606